VASP calculation (PBE) on a relaxed structure of YTi2O4.

Structure (CIF):
```
data_YTi2O4
_cell_length_a 6.299
_cell_length_b 6.299
_cell_length_c 6.299
_cell_angle_alpha 122.16
_cell_angle_beta 117.67
_cell_angle_gamma 90.18
_space_group_name_H-M_alt 'P 1'
_space_group_IT_number 1
_space_group_name_Hall 'P 1'
loop_
_atom_site_label
_atom_site_fract_x
_atom_site_fract_y
_atom_site_fract_z
Y1 0.000 0.500 0.500
O1 0.768 0.761 0.007
Ti1 0.623 0.873 0.750
Ti2 0.000 0.500 0.000
O2 0.232 0.239 0.993
O3 0.759 0.773 0.513
O4 0.241 0.754 0.013
O5 0.255 0.761 0.493
O6 0.241 0.227 0.487
Ti3 0.377 0.127 0.250
O7 0.759 0.246 0.987
Y2 0.500 0.500 0.000
O8 0.745 0.239 0.507
Ti4 0.000 0.000 0.500
```

Summary:
- space group = Imma (74)
- total magnetization (μB per formula unit) = 0.0
- crystal system = orthorhombic
- E_form (eV per atom) = -3.179
- electronic total energy (eV per atom) = -8.7938
- energy relative to the lowest polymorph listed for this composition (meV per atom) = 71